Here is a geometry-optimized Sr3InP3 structure from the Materials Project. Energies are from meta-GGA r2SCAN.

```
Sr3InP3
1.0
12.889 0.000 0.000
0.000 4.339 0.000
0.000 0.000 13.923
Sr In P
12 4 12
Direct
0.073 0.250 0.104
0.144 0.750 0.504
0.226 0.750 0.793
0.274 0.250 0.293
0.356 0.250 0.004
0.427 0.750 0.604
0.573 0.250 0.396
0.644 0.750 0.996
0.726 0.750 0.707
0.774 0.250 0.207
0.856 0.250 0.496
0.927 0.750 0.896
0.053 0.250 0.702
0.447 0.750 0.202
0.553 0.250 0.798
0.947 0.750 0.298
0.046 0.250 0.356
0.095 0.250 0.884
0.241 0.250 0.628
0.259 0.750 0.128
0.405 0.750 0.384
0.454 0.750 0.856
0.546 0.250 0.144
0.595 0.250 0.616
0.741 0.250 0.872
0.759 0.750 0.372
0.905 0.750 0.116
0.954 0.750 0.644
```

Properties
As for the formation energy: -1.1228 eV per atom. The calculation puts the energy at -14.70 eV per atom. As for the space group: Pnma, No. 62.